Record 1
{
  "formula": "MoWO6",
  "functional": "PBE+U",
  "state": "relaxed",
  "e_form_ev_per_atom": -2.02,
  "e_tot_ev_per_atom": -7.23,
  "e_above_lowest_polymorph_kj_per_mol_fu": 23,
  "lattice": [[5.365, 0.000, 0.000], [0.000, 5.425, 0.000], [-5.361, 0.000, 7.627]],
  "species": ["Mo", "Mo", "W", "W", "O", "O", "O", "O", "O", "O", "O", "O", "O", "O", "O", "O"],
  "fractional_positions": [[0.000, 0.000, 0.000], [0.000, 0.500, 0.500], [0.500, 0.000, 0.500], [0.500, 0.500, 0.000], [0.194, 0.006, 0.249], [0.194, 0.494, 0.749], [0.251, 0.724, 0.028], [0.251, 0.776, 0.528], [0.305, 0.223, 0.028], [0.305, 0.277, 0.528], [0.695, 0.723, 0.472], [0.695, 0.777, 0.972], [0.749, 0.224, 0.472], [0.749, 0.276, 0.972], [0.806, 0.506, 0.251], [0.806, 0.994, 0.751]]
}

=====

Record 2
{
  "formula": "MoW2O8",
  "functional": "PBE+U",
  "state": "relaxed",
  "e_form_ev_per_atom": -1.99,
  "e_tot_ev_per_atom": -7.34,
  "e_above_lowest_polymorph_kj_per_mol_fu": 54,
  "lattice": [[5.146, 0.000, 0.000], [-1.343, 5.257, 0.000], [-0.339, -2.428, 6.489]],
  "species": ["Mo", "W", "W", "O", "O", "O", "O", "O", "O", "O", "O"],
  "fractional_positions": [[0.000, 0.000, 0.000], [0.263, 0.468, 0.815], [0.737, 0.532, 0.185], [0.073, 0.769, 0.164], [0.133, 0.736, 0.769], [0.338, 0.291, 0.579], [0.377, 0.295, 0.027], [0.623, 0.705, 0.973], [0.662, 0.709, 0.421], [0.867, 0.264, 0.231], [0.927, 0.231, 0.836]]
}

=====

Record 3
{
  "formula": "MoWO6",
  "functional": "PBE+U",
  "state": "relaxed",
  "e_form_ev_per_atom": -2.03,
  "e_tot_ev_per_atom": -7.25,
  "piezo_max_c_m2": 10.9,
  "e_above_lowest_polymorph_kj_per_mol_fu": 10,
  "lattice": [[4.726, -2.745, 0.000], [4.726, 2.745, 0.000], [-3.218, 0.000, 4.502]],
  "species": ["Mo", "W", "O", "O", "O", "O", "O", "O"],
  "fractional_positions": [[0.000, 0.000, 0.000], [0.500, 0.500, 0.499], [0.235, 0.745, 0.702], [0.237, 0.739, 0.203], [0.239, 0.239, 0.199], [0.739, 0.237, 0.203], [0.741, 0.741, 0.696], [0.745, 0.235, 0.702]]
}

=====

Record 4
{
  "formula": "MoW2O8",
  "functional": "PBE+U",
  "state": "relaxed",
  "e_form_ev_per_atom": -2.04,
  "e_tot_ev_per_atom": -7.39,
  "e_above_lowest_polymorph_kj_per_mol_fu": 0,
  "lattice": [[5.060, 0.000, 0.000], [0.000, 5.853, 0.000], [-5.049, 0.000, 9.599]],
  "species": ["Mo", "Mo", "W", "W", "W", "W", "O", "O", "O", "O", "O", "O", "O", "O", "O", "O", "O", "O", "O", "O", "O", "O"],
  "fractional_positions": [[0.000, 0.155, 0.250], [0.000, 0.845, 0.750], [0.228, 0.330, 0.993], [0.228, 0.670, 0.493], [0.772, 0.330, 0.507], [0.772, 0.670, 0.007], [0.174, 0.394, 0.609], [0.174, 0.606, 0.109], [0.214, 0.156, 0.132], [0.214, 0.844, 0.632], [0.249, 0.101, 0.881], [0.249, 0.899, 0.381], [0.315, 0.391, 0.395], [0.315, 0.609, 0.895], [0.685, 0.391, 0.105], [0.685, 0.609, 0.605], [0.751, 0.101, 0.619], [0.751, 0.899, 0.119], [0.786, 0.156, 0.368], [0.786, 0.844, 0.868], [0.826, 0.394, 0.891], [0.826, 0.606, 0.391]]
}

=====

Record 5
{
  "formula": "Mo2W2O5",
  "functional": "PBE+U",
  "state": "relaxed",
  "e_form_ev_per_atom": -0.25,
  "e_tot_ev_per_atom": -6.21,
  "lattice": [[3.688, 0.000, 0.000], [0.000, 3.688, 0.000], [0.000, 0.000, 8.157]],
  "species": ["Mo", "Mo", "W", "W", "O", "O", "O", "O", "O"],
  "fractional_positions": [[0.000, 0.000, 0.219], [0.000, 0.000, 0.781], [0.500, 0.500, 0.000], [0.500, 0.500, 0.500], [0.000, 0.000, 0.500], [0.000, 0.500, 0.328], [0.000, 0.500, 0.672], [0.500, 0.000, 0.328], [0.500, 0.000, 0.672]]
}

=====

Record 6
{
  "formula": "MoWO6",
  "functional": "PBE+U",
  "state": "relaxed",
  "e_form_ev_per_atom": -2.05,
  "e_tot_ev_per_atom": -7.26,
  "e_above_lowest_polymorph_kj_per_mol_fu": 0,
  "lattice": [[2.779, -2.780, 0.000], [2.779, 2.780, 0.000], [-0.004, 0.000, 7.558]],
  "species": ["Mo", "W", "O", "O", "O", "O", "O", "O"],
  "fractional_positions": [[0.000, 0.000, 0.000], [0.125, 0.125, 0.500], [0.043, 0.554, 0.998], [0.076, 0.076, 0.246], [0.077, 0.077, 0.750], [0.100, 0.594, 0.498], [0.554, 0.043, 0.998], [0.594, 0.100, 0.498]]
}

=====

Record 7
{
  "formula": "YMoW2O8",
  "functional": "PBE+U",
  "state": "relaxed",
  "e_form_ev_per_atom": -2.35,
  "e_tot_ev_per_atom": -7.79,
  "e_above_lowest_polymorph_kj_per_mol_fu": 161,
  "lattice": [[5.195, 0.000, 0.000], [0.190, 5.977, 0.000], [2.166, 2.853, 5.322]],
  "species": ["Y", "Mo", "W", "W", "O", "O", "O", "O", "O", "O", "O", "O"],
  "fractional_positions": [[0.000, 0.000, 0.000], [0.452, 0.548, 0.018], [0.190, 0.737, 0.517], [0.703, 0.399, 0.505], [0.092, 0.584, 0.301], [0.180, 0.048, 0.265], [0.221, 0.795, 0.788], [0.311, 0.365, 0.698], [0.611, 0.762, 0.326], [0.681, 0.322, 0.266], [0.762, 0.099, 0.737], [0.805, 0.557, 0.717]]
}

=====

Record 8
{
  "formula": "YMoW2O8",
  "functional": "PBE+U",
  "state": "relaxed",
  "e_form_ev_per_atom": -2.49,
  "e_tot_ev_per_atom": -7.92,
  "e_above_lowest_polymorph_kj_per_mol_fu": 0,
  "lattice": [[5.385, 0.000, 0.000], [0.000, 5.822, 0.000], [-4.951, 0.000, 9.944]],
  "species": ["Y", "Y", "Mo", "Mo", "W", "W", "W", "W", "O", "O", "O", "O", "O", "O", "O", "O", "O", "O", "O", "O", "O", "O", "O", "O"],
  "fractional_positions": [[0.000, 0.170, 0.250], [0.000, 0.830, 0.750], [0.500, 0.160, 0.750], [0.500, 0.840, 0.250], [0.244, 0.344, 0.997], [0.244, 0.656, 0.497], [0.756, 0.344, 0.503], [0.756, 0.656, 0.003], [0.172, 0.394, 0.610], [0.172, 0.606, 0.110], [0.249, 0.126, 0.126], [0.249, 0.874, 0.626], [0.268, 0.136, 0.863], [0.268, 0.864, 0.363], [0.326, 0.388, 0.403], [0.326, 0.612, 0.903], [0.674, 0.388, 0.097], [0.674, 0.612, 0.597], [0.732, 0.136, 0.637], [0.732, 0.864, 0.137], [0.751, 0.126, 0.374], [0.751, 0.874, 0.874], [0.828, 0.394, 0.890], [0.828, 0.606, 0.390]]
}

=====

Record 9
{
  "formula": "ZrMoWO8",
  "functional": "PBE+U",
  "state": "relaxed",
  "e_form_ev_per_atom": -2.50,
  "e_tot_ev_per_atom": -7.85,
  "lattice": [[5.962, 0.000, 0.000], [-2.981, 5.163, 0.000], [0.000, 0.000, 6.473]],
  "species": ["Zr", "Mo", "W", "O", "O", "O", "O", "O", "O", "O", "O"],
  "fractional_positions": [[0.000, 0.000, 0.000], [0.333, 0.667, 0.279], [0.667, 0.333, 0.716], [0.168, 0.335, 0.184], [0.168, 0.832, 0.184], [0.332, 0.166, 0.812], [0.333, 0.667, 0.546], [0.665, 0.832, 0.184], [0.667, 0.333, 0.445], [0.834, 0.166, 0.812], [0.834, 0.668, 0.812]]
}

=====

Record 10
{
  "formula": "ZrMoWO8",
  "functional": "PBE+U",
  "state": "relaxed",
  "e_form_ev_per_atom": -2.50,
  "e_tot_ev_per_atom": -7.85,
  "lattice": [[4.979, 2.875, 6.119], [-4.979, 2.875, 6.119], [0.000, -5.749, 6.119]],
  "species": ["Zr", "Zr", "Zr", "Mo", "Mo", "Mo", "W", "W", "W", "O", "O", "O", "O", "O", "O", "O", "O", "O", "O", "O", "O", "O", "O", "O", "O", "O", "O", "O", "O", "O", "O", "O", "O"],
  "fractional_positions": [[0.000, 0.000, 0.000], [0.292, 0.292, 0.292], [0.700, 0.700, 0.700], [0.257, 0.570, 0.859], [0.570, 0.859, 0.257], [0.859, 0.257, 0.570], [0.135, 0.732, 0.431], [0.431, 0.135, 0.732], [0.732, 0.431, 0.135], [0.065, 0.210, 0.419], [0.080, 0.876, 0.230], [0.115, 0.766, 0.913], [0.184, 0.553, 0.686], [0.195, 0.527, 0.368], [0.210, 0.419, 0.065], [0.230, 0.080, 0.876], [0.305, 0.811, 0.445], [0.368, 0.195, 0.527], [0.419, 0.065, 0.210], [0.445, 0.305, 0.811], [0.462, 0.626, 0.801], [0.527, 0.368, 0.195], [0.553, 0.686, 0.184], [0.578, 0.924, 0.784], [0.626, 0.801, 0.462], [0.686, 0.184, 0.553], [0.766, 0.913, 0.115], [0.784, 0.578, 0.924], [0.801, 0.462, 0.626], [0.811, 0.445, 0.305], [0.876, 0.230, 0.080], [0.913, 0.115, 0.766], [0.924, 0.784, 0.578]]
}

=====

Record 11
{
  "formula": "Y2Mo6O21",
  "functional": "PBE+U",
  "state": "relaxed",
  "e_form_ev_per_atom": -2.00,
  "e_tot_ev_per_atom": -7.11,
  "lattice": [[6.414, -3.684, 0.000], [6.414, 3.684, 0.000], [-0.267, 0.000, 18.201]],
  "species": ["Y", "Y", "Y", "Y", "Mo", "Mo", "Mo", "Mo", "Mo", "Mo", "Mo", "Mo", "Mo", "Mo", "Mo", "Mo", "O", "O", "O", "O", "O", "O", "O", "O", "O", "O", "O", "O", "O", "O", "O", "O", "O", "O", "O", "O", "O", "O", "O", "O", "O", "O", "O", "O", "O", "O", "O", "O", "O", "O", "O", "O", "O", "O", "O", "O", "O", "O"],
  "fractional_positions": [[0.141, 0.141, 0.169], [0.326, 0.326, 0.343], [0.674, 0.674, 0.657], [0.859, 0.859, 0.831], [0.000, 0.000, 0.500], [0.000, 0.500, 0.500], [0.158, 0.158, 0.669], [0.162, 0.654, 0.159], [0.342, 0.342, 0.826], [0.346, 0.838, 0.841], [0.500, 0.000, 0.500], [0.500, 0.500, 0.000], [0.654, 0.162, 0.159], [0.658, 0.658, 0.174], [0.838, 0.346, 0.841], [0.842, 0.842, 0.331], [0.038, 0.416, 0.601], [0.040, 0.423, 0.850], [0.045, 0.045, 0.844], [0.046, 0.046, 0.602], [0.073, 0.714, 0.518], [0.077, 0.694, 0.275], [0.173, 0.173, 0.057], [0.195, 0.195, 0.277], [0.236, 0.649, 0.815], [0.246, 0.614, 0.065], [0.286, 0.927, 0.482], [0.290, 0.290, 0.474], [0.293, 0.293, 0.731], [0.306, 0.923, 0.725], [0.351, 0.764, 0.185], [0.379, 0.379, 0.195], [0.386, 0.754, 0.935], [0.388, 0.388, 0.932], [0.416, 0.038, 0.601], [0.423, 0.040, 0.850], [0.489, 0.489, 0.367], [0.511, 0.511, 0.633], [0.577, 0.960, 0.150], [0.584, 0.962, 0.399], [0.612, 0.612, 0.068], [0.614, 0.246, 0.065], [0.621, 0.621, 0.805], [0.649, 0.236, 0.815], [0.694, 0.077, 0.275], [0.707, 0.707, 0.269], [0.710, 0.710, 0.526], [0.714, 0.073, 0.518], [0.754, 0.386, 0.935], [0.764, 0.351, 0.185], [0.805, 0.805, 0.723], [0.827, 0.827, 0.943], [0.923, 0.306, 0.725], [0.927, 0.286, 0.482], [0.954, 0.954, 0.398], [0.955, 0.955, 0.156], [0.960, 0.577, 0.150], [0.962, 0.584, 0.399]]
}

=====

Record 12
{
  "formula": "Y2Mo3O12",
  "functional": "PBE+U",
  "state": "relaxed",
  "e_form_ev_per_atom": -2.65,
  "e_tot_ev_per_atom": -7.76,
  "e_above_lowest_polymorph_kj_per_mol_fu": 45,
  "lattice": [[10.526, 0.000, 0.000], [0.000, 10.542, 0.000], [0.000, 0.000, 10.735]],
  "species": ["Y", "Y", "Y", "Y", "Y", "Y", "Y", "Y", "Mo", "Mo", "Mo", "Mo", "Mo", "Mo", "Mo", "Mo", "Mo", "Mo", "Mo", "Mo", "O", "O", "O", "O", "O", "O", "O", "O", "O", "O", "O", "O", "O", "O", "O", "O", "O", "O", "O", "O", "O", "O", "O", "O", "O", "O", "O", "O", "O", "O", "O", "O", "O", "O", "O", "O", "O", "O", "O", "O", "O", "O", "O", "O", "O", "O", "O", "O"],
  "fractional_positions": [[0.003, 0.188, 0.000], [0.188, 0.501, 0.474], [0.312, 0.001, 0.474], [0.497, 0.688, 0.000], [0.503, 0.312, 0.000], [0.688, 0.999, 0.474], [0.812, 0.499, 0.474], [0.997, 0.812, 0.000], [0.002, 0.793, 0.380], [0.206, 0.508, 0.093], [0.247, 0.752, 0.737], [0.253, 0.252, 0.737], [0.294, 0.008, 0.093], [0.498, 0.293, 0.380], [0.502, 0.707, 0.380], [0.706, 0.992, 0.093], [0.747, 0.748, 0.737], [0.753, 0.248, 0.737], [0.794, 0.492, 0.093], [0.998, 0.207, 0.380], [0.004, 0.373, 0.429], [0.016, 0.196, 0.215], [0.118, 0.379, 0.027], [0.125, 0.121, 0.451], [0.127, 0.822, 0.833], [0.127, 0.996, 0.046], [0.136, 0.180, 0.836], [0.150, 0.659, 0.043], [0.154, 0.852, 0.425], [0.177, 0.636, 0.638], [0.181, 0.372, 0.641], [0.194, 0.503, 0.259], [0.306, 0.003, 0.259], [0.319, 0.872, 0.641], [0.323, 0.136, 0.638], [0.346, 0.352, 0.425], [0.350, 0.159, 0.043], [0.364, 0.680, 0.836], [0.373, 0.322, 0.833], [0.373, 0.496, 0.046], [0.375, 0.621, 0.451], [0.382, 0.879, 0.027], [0.484, 0.696, 0.215], [0.496, 0.873, 0.429], [0.504, 0.127, 0.429], [0.516, 0.304, 0.215], [0.618, 0.121, 0.027], [0.625, 0.379, 0.451], [0.627, 0.504, 0.046], [0.627, 0.678, 0.833], [0.636, 0.320, 0.836], [0.650, 0.841, 0.043], [0.654, 0.648, 0.425], [0.677, 0.864, 0.638], [0.681, 0.128, 0.641], [0.694, 0.997, 0.259], [0.806, 0.497, 0.259], [0.819, 0.628, 0.641], [0.823, 0.364, 0.638], [0.846, 0.148, 0.425], [0.850, 0.341, 0.043], [0.864, 0.820, 0.836], [0.873, 0.004, 0.046], [0.873, 0.178, 0.833], [0.875, 0.879, 0.451], [0.882, 0.621, 0.027], [0.984, 0.804, 0.215], [0.996, 0.627, 0.429]]
}

=====

Record 13
{
  "formula": "Y2Mo3O12",
  "functional": "PBE+U",
  "state": "relaxed",
  "e_form_ev_per_atom": -2.65,
  "e_tot_ev_per_atom": -7.76,
  "e_above_lowest_polymorph_kj_per_mol_fu": 45,
  "lattice": [[7.460, 0.000, 0.000], [0.000, 7.460, 0.000], [0.000, 0.000, 10.754]],
  "species": ["Y", "Y", "Y", "Y", "Mo", "Mo", "Mo", "Mo", "Mo", "Mo", "O", "O", "O", "O", "O", "O", "O", "O", "O", "O", "O", "O", "O", "O", "O", "O", "O", "O", "O", "O", "O", "O", "O", "O"],
  "fractional_positions": [[0.187, 0.313, 0.238], [0.313, 0.813, 0.762], [0.687, 0.187, 0.762], [0.813, 0.687, 0.238], [0.000, 0.000, 0.500], [0.206, 0.294, 0.857], [0.294, 0.794, 0.143], [0.500, 0.500, 0.500], [0.706, 0.206, 0.143], [0.794, 0.706, 0.857], [0.007, 0.774, 0.799], [0.044, 0.190, 0.403], [0.127, 0.627, 0.191], [0.190, 0.956, 0.597], [0.194, 0.306, 0.022], [0.226, 0.007, 0.201], [0.274, 0.507, 0.799], [0.306, 0.806, 0.978], [0.310, 0.456, 0.403], [0.373, 0.127, 0.809], [0.456, 0.690, 0.597], [0.493, 0.274, 0.201], [0.507, 0.726, 0.201], [0.544, 0.310, 0.597], [0.627, 0.873, 0.809], [0.690, 0.544, 0.403], [0.694, 0.194, 0.978], [0.726, 0.493, 0.799], [0.774, 0.993, 0.201], [0.806, 0.694, 0.022], [0.810, 0.044, 0.597], [0.873, 0.373, 0.191], [0.956, 0.810, 0.403], [0.993, 0.226, 0.799]]
}